# 1
Entry from the Materials Project: a relaxed structure of Ba2DyUO6 (PBE).

Cell lengths 6.2247, 6.2247, 6.2247 Å; angles 60.00, 60.00, 60.00 degrees
Fractional coordinates of all 10 atoms:
O1 0.7554 0.7554 0.2446
O2 0.2446 0.2446 0.7554
U1 0.0000 0.0000 0.0000
O3 0.7554 0.2446 0.7554
O4 0.7554 0.2446 0.2446
O5 0.2446 0.7554 0.2446
O6 0.2446 0.7554 0.7554
Ba1 0.2500 0.2500 0.2500
Ba2 0.7500 0.7500 0.7500
Dy1 0.5000 0.5000 0.5000

Calculated values
formation energy from the elements = -353 kJ/mol of atoms
space-group type = Fm-3m
corrected total energy (MP2020 scheme) = -8.600 eV/atom

=====

# 2
Entry from the Materials Project: a relaxed structure of BaDy2ZnO5 (PBE).

Cell lengths 5.7605, 7.1500, 12.4454 Å; angles 90.00, 90.00, 90.00 degrees
Fractional coordinates of all 36 atoms:
O1 0.5016 0.1629 0.4339
Zn1 0.2500 0.8084 0.1499
Zn2 0.2500 0.6916 0.6499
Zn3 0.7500 0.1916 0.8501
Dy1 0.2500 0.3817 0.7920
O2 0.5004 0.1420 0.7247
O3 0.0004 0.8580 0.2753
Ba1 0.2500 0.9229 0.8985
O4 0.9984 0.3371 0.9339
O5 0.0016 0.8371 0.5661
Dy2 0.7500 0.8817 0.7080
O6 0.7500 0.5751 0.3997
Ba2 0.2500 0.5771 0.3985
O7 0.7500 0.9249 0.8997
Dy3 0.7500 0.8997 0.4256
Ba3 0.7500 0.4229 0.6015
Dy4 0.2500 0.1003 0.5744
Dy5 0.7500 0.6003 0.9256
O8 0.4984 0.8371 0.5661
O9 0.0016 0.6629 0.0661
O10 0.9984 0.1629 0.4339
Zn4 0.7500 0.3084 0.3501
O11 0.9996 0.3580 0.2247
O12 0.9996 0.1420 0.7247
Ba4 0.7500 0.0771 0.1015
O13 0.5004 0.3580 0.2247
Dy6 0.2500 0.1183 0.2920
O14 0.4996 0.6420 0.7753
Dy7 0.7500 0.6183 0.2080
Dy8 0.2500 0.3997 0.0744
O15 0.0004 0.6420 0.7753
O16 0.4996 0.8580 0.2753
O17 0.5016 0.3371 0.9339
O18 0.4984 0.6629 0.0661
O19 0.2500 0.4249 0.6003
O20 0.2500 0.0751 0.1003

Calculated values
formation energy from the elements = -315 kJ/mol of atoms
space-group type = Pnma
corrected total energy (MP2020 scheme) = -7.389 eV/atom
total moment = 0.0 μB/f.u.

=====

# 3
Entry from the Materials Project: a relaxed structure of Ba5Dy8Zn4O21 (PBE).

Cell lengths 10.2441, 10.2441, 10.2441 Å; angles 94.53, 94.53, 147.35 degrees
Fractional coordinates of all 38 atoms:
O1 0.7978 0.5721 0.8700
O2 0.5000 0.5000 0.0000
O3 0.7022 0.9278 0.1300
Zn1 0.2508 0.9594 0.2102
O4 0.0373 0.6280 0.6653
O5 0.3962 0.5053 0.4057
Zn2 0.0406 0.2508 0.2914
O6 0.6280 0.9627 0.5908
O7 0.0722 0.2022 0.7744
Dy1 0.1679 0.7527 0.9206
O8 0.9278 0.7978 0.2256
Dy2 0.3578 0.5887 0.9465
O9 0.5053 0.0996 0.1091
Ba1 0.4651 0.8608 0.3259
O10 0.3720 0.0373 0.4092
Dy3 0.8321 0.2473 0.0795
O11 0.5721 0.7022 0.7744
Zn3 0.9594 0.7492 0.7086
O12 0.2022 0.4279 0.1300
O13 0.2978 0.0722 0.8700
O14 0.9004 0.0095 0.4057
O15 0.0095 0.6038 0.1091
Ba2 0.5349 0.1392 0.6741
Ba3 0.1392 0.4651 0.6044
Dy4 0.5887 0.6422 0.2308
O16 0.0996 0.9905 0.5943
O17 0.9627 0.3720 0.3347
O18 0.4947 0.9004 0.8909
Zn4 0.7492 0.0406 0.7898
O19 0.6038 0.4947 0.5943
Dy5 0.4113 0.3578 0.7692
Ba4 0.0000 0.0000 0.0000
Ba5 0.8608 0.5349 0.3956
Dy6 0.6422 0.4113 0.0535
Dy7 0.7527 0.8321 0.5848
O20 0.4279 0.2978 0.2256
Dy8 0.2473 0.1679 0.4152
O21 0.9905 0.3962 0.8909

Calculated values
formation energy from the elements = -314 kJ/mol of atoms
space-group type = I4/m
corrected total energy (MP2020 scheme) = -7.340 eV/atom
total moment = 0.0 μB/f.u.